Compound: Mg4Si7
Source: the Materials Project
Functional: PBE
Structure: optimized geometry Values from VASP.

Properties
Total DFT energy (no corrections) in eV per atom: -3.90
Symmetry: No. 1
Total energy after the MP2020 corrections in eV per atom: -3.85
Energy relative to the lowest polymorph listed for this composition in meV/atom: 34.5
DFT formation energy in eV per formula unit: 1.99

```
&SYSTEM
  ibrav = 0, nat = 22, ntyp = 2
/
ATOMIC_SPECIES
Si 28.09 Si.upf
Mg 24.30 Mg.upf
CELL_PARAMETERS angstrom
-2.7091 12.9965 -9.5729
-2.9228 0.9783 2.1743
3.6136 5.0640 2.5842
ATOMIC_POSITIONS crystal
Si 0.3030 0.0674 0.3981
Si 0.7018 0.0697 0.1303
Si 0.4487 0.0677 0.1844
Si 0.7986 0.5712 0.0963
Si 0.0034 0.5666 0.0986
Si 0.2415 0.0662 0.9239
Si 0.0952 0.5639 0.6970
Si 0.8013 0.5715 0.7243
Si 0.0565 0.0640 0.5055
Si 0.0923 0.0669 0.1239
Si 0.6993 0.0691 0.7588
Si 0.5584 0.0676 0.3600
Si 0.2474 0.5658 0.6763
Si 0.9454 0.5761 0.5031
Mg 0.9276 0.0715 0.8723
Mg 0.5142 0.0685 0.7661
Mg 0.4249 0.5670 0.5099
Mg 0.3644 0.5670 0.9954
Mg 0.1907 0.5673 0.2856
Mg 0.5831 0.5683 0.0421
Mg 0.8422 0.0712 0.3618
Mg 0.6638 0.5693 0.4827
```